First-principles (PBE) data for a relaxed Gd3ScS6 crystal, as listed in Materials Project.

Values from the calculation:
space-group type = Pnnm, No. 58

Cell: 13.6028 16.3534 3.8470 Å, 90.00 90.00 90.00°
Sites, in units of the cell vectors:
1 Gd 0.0464 0.2194 0.0000
2 Gd 0.1836 0.6497 0.0000
3 Gd 0.2476 0.8984 0.5000
4 Gd 0.2524 0.3984 0.0000
5 Gd 0.3164 0.1497 0.5000
6 Gd 0.4536 0.7194 0.5000
7 Gd 0.5464 0.2806 0.5000
8 Gd 0.6836 0.8503 0.5000
9 Gd 0.7476 0.6016 0.0000
10 Gd 0.7524 0.1016 0.5000
11 Gd 0.8164 0.3503 0.0000
12 Gd 0.9536 0.7806 0.0000
13 Sc 0.0000 0.0000 0.5000
14 Sc 0.0000 0.5000 0.5000
15 Sc 0.5000 0.0000 0.0000
16 Sc 0.5000 0.5000 0.0000
17 S 0.0208 0.3961 0.0000
18 S 0.0915 0.9218 0.0000
19 S 0.1067 0.7524 0.5000
20 S 0.1217 0.1110 0.5000
21 S 0.1859 0.2894 0.5000
22 S 0.1865 0.5224 0.5000
23 S 0.3135 0.0224 0.0000
24 S 0.3141 0.7894 0.0000
25 S 0.3783 0.6110 0.0000
26 S 0.3933 0.2524 0.0000
27 S 0.4085 0.4218 0.5000
28 S 0.4792 0.8961 0.5000
29 S 0.5208 0.1039 0.5000
30 S 0.5915 0.5782 0.5000
31 S 0.6067 0.7476 0.0000
32 S 0.6217 0.3890 0.0000
33 S 0.6859 0.2106 0.0000
34 S 0.6865 0.9776 0.0000
35 S 0.8135 0.4776 0.5000
36 S 0.8141 0.7106 0.5000
37 S 0.8783 0.8890 0.5000
38 S 0.8933 0.2476 0.5000
39 S 0.9085 0.0782 0.0000
40 S 0.9792 0.6039 0.0000

***

First-principles (PBE) data for a relaxed K2InGaCl6 crystal, as listed in Materials Project.

Values from the calculation:
space-group type = Fm-3m, No. 225

Cell: 7.5990 7.5990 7.5990 Å, 60.00 60.00 60.00°
Sites, in units of the cell vectors:
1 K 0.2500 0.2500 0.2500
2 K 0.7500 0.7500 0.7500
3 In 0.0000 0.0000 0.0000
4 Ga 0.5000 0.5000 0.5000
5 Cl 0.2375 0.2375 0.7625
6 Cl 0.2375 0.7625 0.2375
7 Cl 0.2375 0.7625 0.7625
8 Cl 0.7625 0.2375 0.2375
9 Cl 0.7625 0.2375 0.7625
10 Cl 0.7625 0.7625 0.2375

***

The electronic total energy results, record by record, are as follows: -93.8 -32.7 eV/f.u..